Arrangement a

Crystalline SrCa7Mn6Al2O22 at its relaxed geometry, computed with GGA+U.

Properties
SG   Amm2 (38)
Total moment   20.0 μB/cell

Unit cell a=7.6612 b=7.6612 c=7.5930 alpha=90.00 beta=90.00 gamma=89.98
Closest atoms and distances in Å follow each position.
Element x y z (fractional)
O 0.9983 0.2374 0.5030  1 Al 1.82, 1 Mn 2.02
O 0.7499 0.5005 0.9994  2 Mn 1.91
O 0.5005 0.7499 0.5006  2 Mn 1.91
O 0.5031 0.5031 0.2500  2 Mn 1.90
O 0.9973 0.5021 0.2500  2 Mn 1.90
O 0.7619 0.9990 0.9998  1 Al 1.82, 1 Mn 2.00
O 0.5008 0.9990 0.7500  2 Mn 1.89
O 0.9990 0.7619 0.5002  1 Al 1.82, 1 Mn 2.00
O 0.5021 0.9973 0.2500  2 Mn 1.90
O 0.9990 0.7619 0.9998  1 Al 1.82, 1 Mn 2.00
O 0.2502 0.5034 0.9966  2 Mn 1.92
O 0.5008 0.5008 0.7500  2 Mn 1.89
O 0.7499 0.5005 0.5006  2 Mn 1.91
O 0.2374 0.9983 0.5030  1 Al 1.82, 1 Mn 2.02
O 0.5034 0.2502 0.9966  2 Mn 1.92
O 0.5034 0.2502 0.5034  2 Mn 1.92
O 0.5005 0.7499 0.9994  2 Mn 1.91
O 0.9983 0.2374 0.9970  1 Al 1.82, 1 Mn 2.02
O 0.7619 0.9990 0.5002  1 Al 1.82, 1 Mn 2.00
O 0.9990 0.5008 0.7500  2 Mn 1.89
O 0.2374 0.9983 0.9970  1 Al 1.82, 1 Mn 2.02
O 0.2502 0.5034 0.5034  2 Mn 1.92
Sr 0.2594 0.2594 0.2500  11 O 2.64-2.78
Mn 0.5014 0.9993 0.9991  6 O 1.89-2.02
Mn 0.5007 0.5007 0.5007  6 O 1.89-1.92
Mn 0.9993 0.5014 0.9991  6 O 1.89-2.02
Mn 0.9993 0.5014 0.5009  6 O 1.89-2.02
Mn 0.5007 0.5007 0.9993  6 O 1.89-1.92
Mn 0.5014 0.9993 0.5009  6 O 1.89-2.02
Ca 0.7337 0.2672 0.2500  11 O 2.53-2.81
Ca 0.7331 0.7331 0.7500  11 O 2.52-2.79
Ca 0.7338 0.2668 0.7500  11 O 2.53-2.80
Ca 0.2672 0.7337 0.2500  11 O 2.53-2.81
Ca 0.2667 0.2667 0.7500  11 O 2.54-2.79
Ca 0.2668 0.7338 0.7500  11 O 2.53-2.80
Ca 0.7335 0.7335 0.2500  11 O 2.50-2.79
Al 0.9993 0.9993 0.9975  4 O 1.82
Al 0.9993 0.9993 0.5025  4 O 1.82

---

Arrangement b

Crystalline SrCa7Mn6Al2O22 at its relaxed geometry, computed with GGA+U.

Properties
SG   P1 (1)
Total moment   80.0 μB/cell

Unit cell a=10.8633 b=15.2796 c=10.8167 alpha=89.64 beta=90.63 gamma=90.24
Closest atoms and distances in Å follow each position.
Element x y z (fractional)
O 0.2508 0.3662 0.9888  1 Al 1.78
O 0.5006 0.3771 0.7802  2 Mn 1.94-2.01
O 0.3655 0.4827 0.1248  1 Al 1.87, 1 Mn 1.98
O 0.3656 0.9991 0.1576  1 Al 1.77
O 0.5047 0.8740 0.7718  1 Al 1.92, 1 Mn 1.93
O 0.6112 0.4858 0.1137  2 Mn 1.92-1.95
O 0.4773 0.6236 0.7212  2 Mn 1.91-1.95
O 0.1368 0.0102 0.3678  1 Al 1.91, 1 Mn 1.98
O 0.1493 0.7297 0.3531  2 Mn 1.92-1.94
O 0.8564 0.9820 0.1429  2 Mn 1.92-1.97
O 0.3915 0.7276 0.3901  2 Mn 1.96-1.97
O 0.1428 0.7327 0.8502  2 Mn 1.91-1.94
O 0.3505 0.7694 0.6464  2 Mn 1.94-1.98
O 0.2487 0.6205 0.0345  1 Al 1.91, 1 Mn 1.95
O 0.4808 0.6279 0.2082  2 Mn 1.92-1.94
O 0.5002 0.8702 0.2844  1 Al 1.77, 1 Mn 1.91
O 0.2650 0.8791 0.4589  1 Al 1.90, 1 Mn 1.97
O 0.1559 0.2366 0.8176  1 Al 1.79, 1 Mn 1.89
O 0.6039 0.9835 0.6027  1 Mn 1.90, 1 Al 1.92
O 0.1041 0.7699 0.6006  2 Mn 1.98-2.00
O 0.9955 0.6247 0.7150  2 Mn 1.95-1.97
O 0.1079 0.9962 0.1140  2 Mn 1.95-2.05
O 0.1078 0.4818 0.6075  2 Mn 1.93-1.96
O 0.7434 0.6272 0.0375  2 Mn 1.93-1.94
O 0.1641 0.5131 0.8588  1 Al 1.87, 1 Mn 2.07
O 0.6481 0.2328 0.8550  2 Mn 1.99-2.00
O 0.7602 0.3781 0.4605  2 Mn 1.95-1.99
O 0.8960 0.7284 0.8958  2 Mn 1.96-1.98
O 0.0999 0.4788 0.1107  1 Al 1.79, 1 Mn 1.93
O 0.0190 0.3745 0.7836  2 Mn 1.95
O 0.7527 0.8748 0.4594  2 Mn 1.96-2.00
O 0.5811 0.0407 0.3427  1 Al 1.75
O 0.8568 0.4825 0.1457  2 Mn 1.94
O 0.6107 0.9785 0.0985  1 Al 1.76, 1 Mn 1.93
O 0.1044 0.9785 0.6177  1 Al 1.77, 1 Mn 1.91
O 0.8575 0.4793 0.6492  2 Mn 1.97-2.01
O 0.8992 0.5148 0.8967  2 Mn 1.96-2.00
O 0.7437 0.6248 0.5451  2 Mn 1.93-1.94
O 0.3905 0.5144 0.3941  2 Mn 1.96-2.00
O 0.9029 0.2353 0.9016  2 Mn 1.87-1.95
O 0.8588 0.7681 0.1425  2 Mn 1.95-1.99
O 0.6123 0.4832 0.5992  2 Mn 1.88-1.95
O 0.5610 0.2347 0.1254  1 Al 1.75
O 0.2141 0.1709 0.0535  1 Al 1.72
O 0.8743 0.0233 0.3779  2 Mn 1.95-1.99
O 0.8871 0.2321 0.4008  1 Al 1.74, 1 Mn 1.89
O 0.6453 0.5236 0.3526  2 Mn 1.97-1.98
O 0.2398 0.3599 0.4819  1 Al 1.85
O 0.6005 0.7633 0.6015  2 Mn 1.96-2.00
O 0.1468 0.5168 0.3549  2 Mn 1.94-1.95
O 0.3564 0.4815 0.6432  2 Mn 1.94-1.95
O 0.3926 0.2273 0.3637  2 Al 1.78-1.82
O 0.8955 0.0180 0.8963  2 Mn 1.92-1.93
O 0.2764 0.8672 0.9904  2 Mn 1.89-2.07
O 0.6072 0.2744 0.6046  2 Mn 1.94-1.95
O 0.6492 0.2312 0.3629  1 Al 1.74, 1 Mn 1.90
O 0.3974 0.2295 0.8860  1 Al 1.78, 1 Mn 1.93
O 0.5009 0.1249 0.7184  1 Mn 1.91, 1 Al 1.95
O 0.0163 0.8747 0.7972  2 Mn 1.91-1.96
O 0.8551 0.7726 0.6468  2 Mn 1.95
O 0.2457 0.1260 0.5173  2 Al 1.84-2.03
O 0.7420 0.1274 0.5422  2 Mn 1.94-2.02
O 0.6337 0.5202 0.8648  2 Mn 1.94-1.97
O 0.1497 0.0230 0.8630  2 Mn 1.93-2.04
O 0.8663 0.2768 0.6395  2 Mn 1.90-1.95
O 0.7620 0.8739 0.9584  2 Mn 1.92-1.94
O 0.7496 0.3709 0.9813  2 Mn 1.95-2.03
O 0.6441 0.0129 0.8524  1 Mn 1.93, 1 Al 1.98
O 0.3623 0.2630 0.6318  1 Al 1.86, 1 Mn 1.94
O 0.9878 0.1276 0.7230  2 Mn 1.91-2.05
O 0.8612 0.9795 0.6464  2 Mn 1.91-2.04
O 0.9988 0.3811 0.2892  1 Al 1.75, 1 Mn 1.91
O 0.3600 0.9882 0.6290  2 Al 1.85-1.94
O 0.8972 0.7287 0.3976  2 Mn 1.97-1.98
O 0.7418 0.1210 0.0346  2 Mn 1.91-1.95
O 0.6455 0.7302 0.8517  2 Mn 1.95-1.98
O 0.6543 0.7262 0.3589  2 Mn 1.90-1.94
O 0.3951 0.0162 0.8884  1 Mn 1.95, 1 Al 1.97
O 0.0057 0.8673 0.2879  2 Mn 1.87-1.95
O 0.4003 0.7312 0.8992  2 Mn 1.96-1.98
O 0.1245 0.2303 0.3317  1 Al 1.77
O 0.8858 0.2500 0.1447  1 Al 1.78
O 0.8983 0.5234 0.3956  2 Mn 1.94-1.99
O 0.1164 0.7695 0.1133  2 Mn 1.98
O 0.2394 0.6244 0.5358  2 Mn 1.92-2.02
O 0.9955 0.6235 0.2097  2 Mn 1.89-1.95
O 0.5048 0.3784 0.2830  1 Al 1.77, 1 Mn 1.96
O 0.6012 0.7692 0.1022  2 Mn 1.98-2.02
Al 0.5115 0.9783 0.2260  4 O 1.75-1.77
Al 0.2782 0.2418 0.4838  4 O 1.82-1.86
Al 0.4986 0.9982 0.7422  6 O 1.92-1.98
Al 0.2516 0.2532 0.9507  4 O 1.72-1.79
Al 0.2305 0.9936 0.5168  4 O 1.77-1.91
Al 0.9787 0.2677 0.2787  4 O 1.74-1.78
Al 0.5210 0.2633 0.2759  4 O 1.74-1.78
Al 0.2318 0.4970 0.0165  4 O 1.79-1.91
Ca 0.2360 0.3803 0.7409  5 O 2.28-2.53
Ca 0.0210 0.6277 0.5003  5 O 2.32-2.59
Ca 0.4961 0.8756 0.9793  4 O 2.25-2.39
Ca 0.9741 0.3884 0.5066  6 O 2.30-2.52
Ca 0.9742 0.8726 0.5074  6 O 2.33-2.55
Ca 0.4793 0.3833 0.5113  5 O 2.30-2.55
Ca 0.9818 0.8749 0.0103  6 O 2.34-2.58
Ca 0.2656 0.6214 0.2583  6 O 2.30-2.57
Ca 0.9712 0.3822 0.0001  6 O 2.35-2.59
Ca 0.7272 0.8748 0.7428  6 O 2.35-2.61
Ca 0.4821 0.8719 0.5105  6 O 2.31-2.58
Ca 0.2585 0.6305 0.7462  4 O 2.29-2.40
Ca 0.5278 0.6298 0.9984  6 O 2.33-2.55
Ca 0.7655 0.1187 0.7556  5 O 2.32-2.57
Ca 0.0206 0.6269 0.9968  4 O 2.32-2.51
Ca 0.7356 0.3891 0.2519  3 O 2.25-2.49
Ca 0.7297 0.3737 0.7496  7 O 2.39-2.65
Ca 0.7488 0.1200 0.2528  4 O 2.35-2.41
Ca 0.7751 0.6246 0.7585  6 O 2.33-2.61
Ca 0.5281 0.1215 0.9742  6 O 2.35-2.50
Ca 0.5257 0.1268 0.5073  4 O 2.30-2.56
Ca 0.2229 0.8795 0.2458  6 O 2.35-2.59
Ca 0.0229 0.1185 0.9855  5 O 2.27-2.50
Ca 0.7771 0.6263 0.2541  6 O 2.34-2.55
Ca 0.5210 0.6256 0.4996  8 O 2.40-2.62
Ca 0.7431 0.8669 0.2448  3 O 2.27-2.41
Ca 0.2767 0.1172 0.7394  8 O 2.40-2.67
Ca 0.2373 0.8762 0.7575  6 O 2.39-2.62
Mn 0.7568 0.2440 0.0039  5 O 1.91-2.06
Mn 0.7518 0.9968 0.9943  6 O 1.92-1.97
Mn 0.2513 0.7536 0.4974  6 O 1.94-2.02
Mn 0.4996 0.7489 0.7491  6 O 1.93-1.98
Mn 0.9928 0.2499 0.7568  5 O 1.87-1.95
Mn 0.2581 0.0014 0.0018  5 O 1.93-2.07
Mn 0.7523 0.7476 0.5020  6 O 1.90-2.00
Mn 0.7504 0.5026 0.0035  6 O 1.94-2.03
Mn 0.5013 0.2483 0.7442  6 O 1.91-2.01
Mn 0.7508 0.2514 0.5045  6 O 1.89-1.99
Mn 0.5059 0.5012 0.7413  5 O 1.91-1.95
Mn 0.7437 0.9990 0.5010  5 O 1.90-2.04
Mn 0.9953 0.9926 0.2534  5 O 1.92-1.98
Mn 0.0000 0.7513 0.7497  6 O 1.91-2.00
Mn 0.5095 0.7471 0.2569  5 O 1.91-1.98
Mn 0.2477 0.5014 0.5027  5 O 1.92-1.96
Mn 0.7521 0.7503 0.9984  6 O 1.93-2.02
Mn 0.7508 0.5024 0.4996  6 O 1.88-2.01
Mn 0.4988 0.5043 0.2468  6 O 1.92-2.00
Mn 0.9990 0.5032 0.2520  6 O 1.89-1.95
Mn 0.9988 0.9958 0.7558  6 O 1.91-2.05
Mn 0.0042 0.7474 0.2528  6 O 1.87-1.99
Mn 0.2497 0.7451 0.9945  5 O 1.89-1.98
Mn 0.0053 0.5003 0.7530  6 O 1.95-2.07
Sr 0.4996 0.3676 0.0051  6 O 2.44-2.71
Sr 0.0059 0.1183 0.5014  6 O 2.41-2.69
Sr 0.2373 0.3774 0.2540  6 O 2.48-2.69
Sr 0.2561 0.1184 0.2545  5 O 2.35-2.51

---

Least stable: arrangement a

---

Arrangement a

Crystalline Ca4Al6MoO16 at its relaxed geometry, computed with GGA+U.

Properties
SG   Aea2 (41)
Total moment   0.0 μB/cell

Unit cell a=8.1229 b=8.1229 c=26.3683 alpha=90.00 beta=90.00 gamma=108.98
Closest atoms and distances in Å follow each position.
Element x y z (fractional)
O 0.7276 0.2288 0.2917  2 Al 1.75-1.77
O 0.0512 0.7787 0.8940  1 Mo 1.78
O 0.5227 0.7465 0.5168  2 Al 1.76-1.78
O 0.4225 0.3262 0.7883  2 Al 1.73-1.74
O 0.0563 0.6874 0.3301  1 Mo 1.81
O 0.2516 0.4020 0.6947  2 Al 1.77-1.78
O 0.4020 0.2516 0.3053  2 Al 1.77-1.78
O 0.5672 0.7218 0.7204  2 Al 1.77
O 0.2936 0.3639 0.0541  2 Al 1.76-1.77
O 0.1874 0.5563 0.8301  1 Mo 1.81
O 0.6580 0.4472 0.3782  2 Al 1.77
O 0.0511 0.2339 0.4676  2 Al 1.76-1.78
O 0.7936 0.8639 0.4459  2 Al 1.76-1.77
O 0.4331 0.6033 0.1263  2 Al 1.76
O 0.6033 0.4331 0.8737  2 Al 1.76
O 0.0672 0.2218 0.7796  2 Al 1.77
O 0.2672 0.4026 0.5471  2 Al 1.76-1.78
O 0.9020 0.7516 0.1947  2 Al 1.77-1.78
O 0.9225 0.8262 0.7117  2 Al 1.73-1.74
O 0.3262 0.4225 0.2117  2 Al 1.73-1.74
O 0.1963 0.6762 0.0466  2 Al 1.76-1.79
O 0.7516 0.9020 0.8053  2 Al 1.77-1.78
O 0.2675 0.9036 0.4108  1 Mo 1.80
O 0.4390 0.8242 0.3208  1 Mo 1.79
O 0.3242 0.9390 0.8208  1 Mo 1.79
O 0.4472 0.6580 0.6218  2 Al 1.77
O 0.2276 0.7288 0.2083  2 Al 1.75-1.77
O 0.5563 0.1874 0.1699  1 Mo 1.81
O 0.2465 0.0227 0.0168  2 Al 1.76-1.78
O 0.2924 0.0823 0.7093  2 Al 1.75-1.77
O 0.7288 0.2276 0.7917  2 Al 1.75-1.77
O 0.3639 0.2936 0.9459  2 Al 1.76-1.77
O 0.6874 0.0563 0.6699  1 Mo 1.81
O 0.1033 0.9331 0.6263  2 Al 1.76
O 0.8262 0.9225 0.2883  2 Al 1.73-1.74
O 0.0823 0.2924 0.2907  2 Al 1.75-1.77
O 0.7218 0.5672 0.2796  2 Al 1.77
O 0.5512 0.2787 0.6060  1 Mo 1.78
O 0.9390 0.3242 0.1792  1 Mo 1.79
O 0.6762 0.1963 0.9534  2 Al 1.76-1.79
O 0.1580 0.9472 0.1218  2 Al 1.77
O 0.9026 0.7672 0.0471  2 Al 1.76-1.78
O 0.7672 0.9026 0.9529  2 Al 1.76-1.78
O 0.2288 0.7276 0.7083  2 Al 1.75-1.77
O 0.2339 0.0511 0.5324  2 Al 1.76-1.78
O 0.4036 0.7675 0.9108  1 Mo 1.80
O 0.7924 0.5823 0.7907  2 Al 1.75-1.77
O 0.8242 0.4390 0.6792  1 Mo 1.79
O 0.2787 0.5512 0.3940  1 Mo 1.78
O 0.9472 0.1580 0.8782  2 Al 1.77
O 0.5823 0.7924 0.2093  2 Al 1.75-1.77
O 0.4026 0.2672 0.4529  2 Al 1.76-1.78
O 0.1762 0.6963 0.5466  2 Al 1.76-1.79
O 0.7465 0.5227 0.4832  2 Al 1.76-1.78
O 0.2218 0.0672 0.2204  2 Al 1.77
O 0.7787 0.0512 0.1060  1 Mo 1.78
O 0.7675 0.4036 0.0892  1 Mo 1.80
O 0.0227 0.2465 0.9832  2 Al 1.76-1.78
O 0.7339 0.5511 0.9676  2 Al 1.76-1.78
O 0.8639 0.7936 0.5541  2 Al 1.76-1.77
O 0.9331 0.1033 0.3737  2 Al 1.76
O 0.5511 0.7339 0.0324  2 Al 1.76-1.78
O 0.6963 0.1762 0.4534  2 Al 1.76-1.79
O 0.9036 0.2675 0.5892  1 Mo 1.80
Ca 0.2617 0.2329 0.6205  4 O 2.29-2.41
Ca 0.7538 0.8084 0.6377  5 O 2.36-2.62
Ca 0.8084 0.7538 0.3623  5 O 2.36-2.62
Ca 0.4878 0.0095 0.2499  5 O 2.35-2.52
Ca 0.2329 0.2617 0.3795  4 O 2.29-2.41
Ca 0.9878 0.5095 0.2501  5 O 2.35-2.52
Ca 0.7617 0.7329 0.8795  4 O 2.29-2.41
Ca 0.7329 0.7617 0.1205  4 O 2.29-2.41
Ca 0.9715 0.4380 0.5170  4 O 2.31-2.36
Ca 0.4715 0.9380 0.9830  4 O 2.31-2.36
Ca 0.5095 0.9878 0.7499  5 O 2.35-2.52
Ca 0.2538 0.3084 0.8623  5 O 2.36-2.62
Ca 0.3084 0.2538 0.1377  5 O 2.36-2.62
Ca 0.4380 0.9715 0.4830  4 O 2.31-2.36
Ca 0.9380 0.4715 0.0170  4 O 2.31-2.36
Ca 0.0095 0.4878 0.7501  5 O 2.35-2.52
Mo 0.7614 0.2409 0.1362  4 O 1.78-1.81
Mo 0.2614 0.7409 0.3638  4 O 1.78-1.81
Mo 0.7409 0.2614 0.6362  4 O 1.78-1.81
Mo 0.2409 0.7614 0.8638  4 O 1.78-1.81
Al 0.6287 0.3606 0.4404  4 O 1.76-1.79
Al 0.3744 0.6242 0.6854  4 O 1.77
Al 0.7435 0.7435 0.0000  4 O 1.76
Al 0.8636 0.0915 0.4372  4 O 1.76-1.78
Al 0.7583 0.7535 0.7565  4 O 1.73-1.78
Al 0.1242 0.8744 0.1854  4 O 1.77
Al 0.3851 0.6358 0.1898  4 O 1.74-1.77
Al 0.3636 0.5915 0.0628  4 O 1.76-1.78
Al 0.7535 0.7583 0.2435  4 O 1.73-1.78
Al 0.8851 0.1358 0.3102  4 O 1.74-1.77
Al 0.2287 0.2287 0.0000  4 O 1.77-1.78
Al 0.8744 0.1242 0.8146  4 O 1.77
Al 0.8606 0.1287 0.9404  4 O 1.76-1.79
Al 0.5915 0.3636 0.9372  4 O 1.76-1.78
Al 0.1358 0.8851 0.6898  4 O 1.74-1.77
Al 0.3606 0.6287 0.5596  4 O 1.76-1.79
Al 0.7287 0.7287 0.5000  4 O 1.77-1.78
Al 0.1287 0.8606 0.0596  4 O 1.76-1.79
Al 0.2535 0.2583 0.2565  4 O 1.73-1.78
Al 0.6242 0.3744 0.3146  4 O 1.77
Al 0.6358 0.3851 0.8102  4 O 1.74-1.77
Al 0.2435 0.2435 0.5000  4 O 1.76
Al 0.0915 0.8636 0.5628  4 O 1.76-1.78
Al 0.2583 0.2535 0.7435  4 O 1.73-1.78

---

Arrangement b

Crystalline Ca4Al6MoO16 at its relaxed geometry, computed with GGA+U.

Properties
SG   I-4 (82)
Total moment   0.0 μB/cell

Unit cell a=8.1481 b=8.1481 c=8.1481 alpha=110.08 beta=110.08 gamma=108.26
Closest atoms and distances in Å follow each position.
Element x y z (fractional)
O 0.3745 0.0045 0.6810  2 Al 1.75-1.76
O 0.0917 0.9527 0.8278  1 Mo 1.79
O 0.6949 0.3844 0.9865  2 Al 1.76-1.77
O 0.3234 0.6935 0.3190  2 Al 1.75-1.76
O 0.9953 0.4109 0.7174  2 Al 1.77-1.78
O 0.6156 0.6021 0.3106  2 Al 1.76-1.77
O 0.3979 0.7085 0.0135  2 Al 1.76-1.77
O 0.1249 0.2639 0.1722  1 Mo 1.79
O 0.6935 0.2779 0.2826  2 Al 1.77-1.78
O 0.9955 0.6766 0.3700  2 Al 1.75-1.76
O 0.2915 0.3051 0.6894  2 Al 1.76-1.77
O 0.0473 0.8751 0.1390  1 Mo 1.79
O 0.3065 0.6255 0.6300  2 Al 1.75-1.76
O 0.7221 0.0047 0.4156  2 Al 1.77-1.78
O 0.5891 0.3065 0.5844  2 Al 1.77-1.78
O 0.7361 0.9083 0.8610  1 Mo 1.79
Al 0.2500 0.7500 0.5000  4 O 1.75
Al 0.7500 0.2500 0.5000  4 O 1.78
Al 0.7465 0.4827 0.2401  4 O 1.76-1.77
Al 0.2426 0.5064 0.7599  4 O 1.76-1.77
Al 0.4936 0.2535 0.7361  4 O 1.76-1.77
Al 0.5173 0.7574 0.2639  4 O 1.76-1.77
Ca 0.5258 0.9789 0.9681  4 O 2.31-2.36
Ca 0.4423 0.4742 0.4531  4 O 2.31-2.36
Ca 0.0211 0.9893 0.5469  4 O 2.31-2.36
Ca 0.0107 0.5577 0.0319  4 O 2.31-2.36
Mo 0.0000 0.0000 0.0000  4 O 1.79

---

Least stable: arrangement b